# 1
Computed, not measured: a geometry-optimized GdB2Rh3 structure at the GGA-PBE level of DFT.

abc: 5.4625 5.4625 3.1302
angles: 90.00 90.00 120.00
Space group P6/mmm (No. 191)
Asymmetric unit:
Gd 0.0000 0.0000 0.0000
B 0.3333 0.6667 0.0000
Rh 0.0000 0.5000 0.5000

***

# 2
Computed, not measured: a geometry-optimized BaLiSb structure at the GGA-PBE level of DFT.

abc: 4.9423 4.9423 9.2005
angles: 90.00 90.00 120.00
Space group P6_3/mmc (No. 194)
Asymmetric unit:
Ba 0.0000 0.0000 0.0000
Li 0.3333 0.6667 0.2500
Sb 0.3333 0.6667 0.7500

***

# 3
Computed, not measured: a geometry-optimized NdSi3Os structure at the GGA-PBE level of DFT.

abc: 4.258 4.258 9.960
angles: 90.00 90.00 90.00
Space group I4mm (No. 107)
Asymmetric unit:
Nd 0.000 0.000 0.000
Si 0.000 0.000 0.419
Si 0.000 0.500 0.262
Os 0.000 0.000 0.656

***

# 4
Computed, not measured: a geometry-optimized Ba2TbBiO6 structure at the GGA-PBE level of DFT.

- Total magnetization: 0.000 μB per formula unit

abc: 8.734 8.734 8.734
angles: 90.00 90.00 90.00
Space group Pn-3 (No. 201, origin choice 2)
Asymmetric unit:
Ba 0.250 0.250 0.250
Ba 0.250 0.250 0.750
Tb 0.000 0.000 0.000
Bi 0.000 0.000 0.500
O 0.020 0.523 0.757

***

# 5
Computed, not measured: a geometry-optimized Te2W2SeS structure at the GGA-PBE level of DFT.

- Distance to the lowest polymorph of the same formula: 1 kJ/mol of formula units
- Total magnetization: 0.000 μB per formula unit

abc: 3.3966 3.3966 38.8507
angles: 90.00 90.00 120.00
Space group P3m1 (No. 156)
Asymmetric unit:
Te 0.0000 0.0000 0.0000
Te 0.0000 0.0000 0.0970
Te 0.3333 0.6667 0.8120
Te 0.3333 0.6667 0.9090
W 0.0000 0.0000 0.4848
W 0.0000 0.0000 0.8605
W 0.3333 0.6667 0.0485
W 0.3333 0.6667 0.6727
Se 0.0000 0.0000 0.6301
Se 0.0000 0.0000 0.7153
S 0.3333 0.6667 0.4460
S 0.3333 0.6667 0.5236

***

# 6
Computed, not measured: a geometry-optimized CsPbBr3 structure at the GGA-PBE level of DFT.

abc: 6.017 6.017 6.017
angles: 90.00 90.00 90.00
Space group Pm-3m (No. 221)
Asymmetric unit:
Cs 0.000 0.000 0.000
Pb 0.500 0.500 0.500
Br 0.000 0.500 0.500

***

# 7
Computed, not measured: a geometry-optimized Li2AlPt structure at the GGA-PBE level of DFT.

abc: 6.054 6.054 6.054
angles: 90.00 90.00 90.00
Space group F-43m (No. 216)
Asymmetric unit:
Li 0.000 0.000 0.000
Li 0.250 0.250 0.250
Al 0.250 0.250 0.750
Pt 0.000 0.000 0.500

***

# 8
Computed, not measured: a geometry-optimized YTaSiS2O12 structure at the GGA-PBE level of DFT.

- Total magnetization: 0.000 μB per formula unit

abc: 15.857 9.127 22.935
angles: 90.00 90.11 90.00
Space group Cc (No. 9)
Asymmetric unit:
Y 0.000 0.003 0.000
Y 0.168 0.495 0.666
Y 0.338 0.010 0.834
Ta 0.168 0.498 0.886
Ta 0.340 0.004 0.553
Ta 0.497 0.491 0.720
Si 0.312 0.377 0.780
Si 0.482 0.126 0.947
Si 0.491 0.217 0.613
S 0.034 0.336 0.782
S 0.148 0.118 0.614
S 0.154 0.218 0.282
S 0.198 0.159 0.947
S 0.317 0.282 0.448
S 0.366 0.337 0.115
O 0.000 0.207 0.461
O 0.003 0.184 0.058
O 0.038 0.174 0.771
O 0.062 0.400 0.127
O 0.066 0.415 0.731
O 0.073 0.462 0.435
O 0.075 0.125 0.275
O 0.089 0.367 0.834
O 0.094 0.102 0.563
O 0.107 0.055 0.667
O 0.111 0.111 0.956
O 0.137 0.317 0.334
O 0.167 0.274 0.622
O 0.168 0.302 0.229
O 0.196 0.325 0.938
O 0.225 0.121 0.294
O 0.229 0.037 0.604
O 0.232 0.089 0.895
O 0.235 0.368 0.441
O 0.251 0.132 0.000
O 0.259 0.411 0.724
O 0.264 0.456 0.838
O 0.280 0.388 0.126
O 0.302 0.184 0.500
O 0.332 0.208 0.788
O 0.333 0.198 0.395
O 0.360 0.171 0.108
O 0.384 0.387 0.459
O 0.397 0.127 0.604
O 0.401 0.404 0.063
O 0.407 0.465 0.770
O 0.422 0.095 0.893
O 0.423 0.361 0.168
O 0.429 0.046 0.005
O 0.447 0.124 0.294
O 0.477 0.333 0.671

***

# 9
Computed, not measured: a geometry-optimized K4BaNb5O15 structure at the GGA-PBE level of DFT.

- Total magnetization: 0.000 μB per formula unit

abc: 17.302 5.765 7.067
angles: 90.00 105.79 90.00
Space group C2/m (No. 12)
Asymmetric unit:
K 0.100 0.000 0.401
K 0.200 0.500 0.800
Ba 0.000 0.500 0.000
Nb 0.000 0.500 0.500
Nb 0.102 0.000 0.900
Nb 0.202 0.500 0.304
O 0.000 0.000 0.000
O 0.050 0.251 0.702
O 0.099 0.500 0.398
O 0.149 0.251 0.099
O 0.200 0.000 0.800
O 0.250 0.250 0.500

***

# 10
Computed, not measured: a geometry-optimized BaNa2MgP2O8 structure at the GGA-PBE level of DFT.

- Total magnetization: 0.000 μB per formula unit

abc: 5.3838 5.3838 7.0634
angles: 90.00 90.00 120.00
Space group P-3m1 (No. 164)
Asymmetric unit:
Ba 0.0000 0.0000 0.0000
Na 0.3333 0.6667 0.6809
Mg 0.0000 0.0000 0.5000
P 0.3333 0.6667 0.2432
O 0.1771 0.3541 0.3213
O 0.3333 0.6667 0.0254

***

# 11
Computed, not measured: a geometry-optimized V3Mo structure at the GGA-PBE level of DFT.

abc: 6.075 6.075 6.075
angles: 90.00 90.00 90.00
Space group Fm-3m (No. 225)
Asymmetric unit:
V 0.000 0.000 0.000
V 0.250 0.250 0.250
Mo 0.000 0.000 0.500

***

# 12
Computed, not measured: a geometry-optimized PdF2 structure at the GGA-PBE level of DFT.

abc: 4.946 4.946 3.490
angles: 90.00 90.00 90.00
Space group P4_2/mnm (No. 136)
Asymmetric unit:
Pd 0.000 0.000 0.000
F 0.195 0.195 0.500

***

What are the ΔH_f (0 K) values for these records? In order: -0.691; -1.009; -0.623; -2.820; -0.406; -1.628; -0.698; -2.701; -2.938; -2.958; -0.067; -1.373 eV/atom.